# 1
The following is a DFT calculation (PBE with a Hubbard U) of an optimized crystal structure of LiFeF4.

Computed properties:
- Final energy: -121.996 eV/cell
- Total moment: 20.0 μB per cell
- Energy with MP2020 corrections: -5.77 eV per atom
- Space group: P2_1/c (14)
- Energy of formation from the pure elements: -2.761 eV per atom

Unit cell a=3.968 b=6.569 c=12.399 alpha=70.79 beta=90.00 gamma=90.00
Element x y z (fractional)
1 Li 0.991 0.354 0.109
2 Li 0.491 0.646 0.391
3 Li 0.509 0.354 0.609
4 Li 0.009 0.646 0.891
5 F 0.256 0.096 0.929
6 F 0.256 0.101 0.651
7 F 0.249 0.654 0.259
8 F 0.291 0.635 0.538
9 F 0.251 0.654 0.759
10 F 0.791 0.365 0.962
11 F 0.709 0.365 0.462
12 F 0.244 0.101 0.151
13 F 0.244 0.096 0.429
14 F 0.756 0.904 0.571
15 F 0.744 0.899 0.349
16 F 0.751 0.346 0.741
17 F 0.756 0.899 0.849
18 F 0.209 0.635 0.038
19 F 0.749 0.346 0.241
20 F 0.744 0.904 0.071
21 Fe 0.748 0.150 0.387
22 Fe 0.252 0.850 0.613
23 Fe 0.248 0.850 0.113
24 Fe 0.752 0.150 0.887

# 2
The following is a DFT calculation (PBE with a Hubbard U) of an optimized crystal structure of Na3Li3Fe2P2C2O14.

Computed properties:
- Final energy: -342.081 eV/cell
- Total moment: 0.0 μB per cell
- Energy with MP2020 corrections: -7.12 eV per atom
- Space group: P1 (1)
- Energy of formation from the pure elements: -2.307 eV per atom

Unit cell a=5.179 b=11.252 c=10.706 alpha=105.90 beta=92.61 gamma=88.19
Element x y z (fractional)
1 O 0.414 0.329 0.896
2 O 0.179 0.305 0.612
3 O 0.828 0.696 0.376
4 O 0.414 0.829 0.395
5 O 0.827 0.196 0.876
6 O 0.214 0.108 0.438
7 O 0.537 0.460 0.308
8 O 0.795 0.888 0.557
9 O 0.794 0.388 0.057
10 O 0.297 0.168 0.067
11 O 0.181 0.805 0.112
12 O 0.824 0.904 0.323
13 O 0.057 0.065 0.173
14 O 0.956 0.914 0.843
15 O 0.297 0.667 0.567
16 O 0.487 0.547 0.685
17 O 0.590 0.171 0.603
18 O 0.639 0.836 0.936
19 O 0.955 0.414 0.344
20 O 0.637 0.336 0.436
21 O 0.178 0.599 0.174
22 O 0.057 0.565 0.674
23 O 0.593 0.671 0.103
24 O 0.176 0.099 0.674
25 O 0.216 0.608 0.938
26 O 0.487 0.048 0.186
27 O 0.538 0.960 0.808
28 O 0.823 0.404 0.823
29 Fe 0.218 0.446 0.790
30 Fe 0.785 0.052 0.706
31 Fe 0.218 0.945 0.290
32 Fe 0.786 0.552 0.206
33 Li 0.246 0.856 0.945
34 Li 0.231 0.665 0.374
35 Li 0.244 0.356 0.445
36 Li 0.762 0.340 0.624
37 Li 0.229 0.165 0.874
38 Li 0.765 0.839 0.124
39 Na 0.257 0.882 0.624
40 Na 0.750 0.621 0.877
41 Na 0.757 0.154 0.071
42 Na 0.258 0.382 0.123
43 Na 0.758 0.654 0.571
44 Na 0.748 0.121 0.378
45 P 0.290 0.169 0.583
46 P 0.292 0.668 0.083
47 P 0.715 0.331 0.911
48 P 0.715 0.831 0.411
49 C 0.280 0.095 0.142
50 C 0.280 0.594 0.641
51 C 0.712 0.402 0.363
52 C 0.713 0.902 0.863

# 3
The following is a DFT calculation (PBE with a Hubbard U) of an optimized crystal structure of ZnCrGe2O6.

Computed properties:
- Final energy: -255.137 eV/cell
- Total moment: 0.0 μB per cell
- Energy with MP2020 corrections: -6.99 eV per atom
- Space group: P1 (1)
- Energy of formation from the pure elements: -2.006 eV per atom

Unit cell a=6.863 b=7.869 c=10.058 alpha=73.37 beta=81.14 gamma=95.86
Element x y z (fractional)
1 O 0.309 0.944 0.463
2 O 0.627 0.762 0.378
3 O 0.202 0.587 0.444
4 O 0.202 0.086 0.944
5 O 0.411 0.136 0.164
6 O 0.798 0.913 0.056
7 O 0.856 0.239 0.139
8 O 0.976 0.575 0.213
9 O 0.857 0.740 0.641
10 O 0.693 0.057 0.537
11 O 0.588 0.866 0.837
12 O 0.024 0.424 0.786
13 O 0.976 0.076 0.714
14 O 0.691 0.556 0.036
15 O 0.144 0.760 0.859
16 O 0.307 0.444 0.963
17 O 0.143 0.260 0.361
18 O 0.374 0.238 0.622
19 O 0.626 0.262 0.878
20 O 0.589 0.364 0.336
21 O 0.411 0.635 0.664
22 O 0.373 0.738 0.123
23 O 0.798 0.414 0.556
24 O 0.024 0.924 0.287
25 Zn 0.749 0.994 0.244
26 Zn 0.251 0.505 0.256
27 Zn 0.748 0.495 0.744
28 Zn 0.252 0.006 0.756
29 Ge 0.212 0.073 0.317
30 Ge 0.610 0.768 0.017
31 Ge 0.611 0.269 0.516
32 Ge 0.788 0.427 0.183
33 Ge 0.211 0.573 0.817
34 Ge 0.390 0.731 0.484
35 Ge 0.788 0.927 0.684
36 Ge 0.389 0.231 0.984
37 Cr 0.905 0.676 0.425
38 Cr 0.905 0.175 0.924
39 Cr 0.095 0.824 0.075
40 Cr 0.095 0.325 0.576

# 4
The following is a DFT calculation (PBE with a Hubbard U) of an optimized crystal structure of Cs2Fe2Mo3O12.

Computed properties:
- Final energy: -487.962 eV/cell
- Total moment: 4.9 μB per cell
- Energy with MP2020 corrections: -7.60 eV per atom
- Space group: P2_13 (198)
- Energy of formation from the pure elements: -1.774 eV per atom

Unit cell a=11.093 b=11.093 c=11.093 alpha=90.00 beta=90.00 gamma=90.00
Element x y z (fractional)
1 Fe 0.612 0.612 0.612
2 Fe 0.888 0.388 0.112
3 Fe 0.837 0.163 0.663
4 Fe 0.388 0.112 0.888
5 Fe 0.112 0.888 0.388
6 Fe 0.663 0.837 0.163
7 Fe 0.163 0.663 0.837
8 Fe 0.337 0.337 0.337
9 Cs 0.457 0.957 0.543
10 Cs 0.543 0.457 0.957
11 Cs 0.043 0.043 0.043
12 Cs 0.321 0.679 0.179
13 Cs 0.679 0.179 0.321
14 Cs 0.957 0.543 0.457
15 Cs 0.821 0.821 0.821
16 Cs 0.179 0.321 0.679
17 Mo 0.123 0.974 0.700
18 Mo 0.974 0.700 0.123
19 Mo 0.200 0.377 0.026
20 Mo 0.623 0.526 0.300
21 Mo 0.474 0.800 0.877
22 Mo 0.700 0.123 0.974
23 Mo 0.026 0.200 0.377
24 Mo 0.800 0.877 0.474
25 Mo 0.877 0.474 0.800
26 Mo 0.526 0.300 0.623
27 Mo 0.377 0.026 0.200
28 Mo 0.300 0.623 0.526
29 O 0.896 0.320 0.751
30 O 0.264 0.952 0.289
31 O 0.277 0.483 0.446
32 O 0.483 0.446 0.277
33 O 0.711 0.764 0.548
34 O 0.946 0.223 0.517
35 O 0.452 0.211 0.736
36 O 0.518 0.455 0.672
37 O 0.604 0.680 0.251
38 O 0.723 0.983 0.054
39 O 0.736 0.452 0.211
40 O 0.236 0.048 0.789
41 O 0.180 0.249 0.396
42 O 0.017 0.554 0.777
43 O 0.983 0.054 0.723
44 O 0.446 0.277 0.483
45 O 0.320 0.751 0.896
46 O 0.751 0.896 0.320
47 O 0.749 0.104 0.820
48 O 0.104 0.820 0.749
49 O 0.554 0.777 0.017
50 O 0.517 0.946 0.223
51 O 0.223 0.517 0.946
52 O 0.482 0.955 0.828
53 O 0.789 0.236 0.048
54 O 0.289 0.264 0.952
55 O 0.777 0.017 0.554
56 O 0.548 0.711 0.764
57 O 0.054 0.723 0.983
58 O 0.820 0.749 0.104
59 O 0.018 0.045 0.328
60 O 0.048 0.789 0.236
61 O 0.680 0.251 0.604
62 O 0.952 0.289 0.264
63 O 0.672 0.518 0.455
64 O 0.249 0.396 0.180
65 O 0.764 0.548 0.711
66 O 0.328 0.018 0.045
67 O 0.982 0.545 0.172
68 O 0.251 0.604 0.680
69 O 0.211 0.736 0.452
70 O 0.545 0.172 0.982
71 O 0.828 0.482 0.955
72 O 0.955 0.828 0.482
73 O 0.396 0.180 0.249
74 O 0.172 0.982 0.545
75 O 0.455 0.672 0.518
76 O 0.045 0.328 0.018